BiPO4 | the Materials Project | PBE | relaxed; calculated formation energy = -2.41 eV/atom; total energy = -81.64 eV for the cell shown; crystal system = orthorhombic
1.0
3.5322 -3.2235 0.0000
3.5322 3.2235 0.0000
0.0000 0.0000 7.2672
Bi P O
2 2 8
Direct
0.1330 0.8670 0.7500 Bi
0.8670 0.1330 0.2500 Bi
0.3406 0.6594 0.2500 P
0.6594 0.3406 0.7500 P
0.1869 0.8131 0.0829 O
0.1869 0.8131 0.4171 O
0.3080 0.3410 0.2500 O
0.3410 0.3080 0.7500 O
0.6590 0.6920 0.2500 O
0.6920 0.6590 0.7500 O
0.8131 0.1869 0.5829 O
0.8131 0.1869 0.9171 O